1.
{
  "formula": "Li4VTe3O12",
  "functional": "GGA+U",
  "state": "optimized geometry",
  "cell": [[-1.024, -4.923, 0.487], [8.768, -2.977, -4.812], [12.624, -1.654, 13.136]],
  "species": ["Li", "Li", "Li", "Li", "Li", "Li", "Li", "Li", "Li", "Li", "Li", "Li", "Li", "Li", "Li", "Li", "V", "V", "V", "V", "Te", "Te", "Te", "Te", "Te", "Te", "Te", "Te", "Te", "Te", "Te", "Te", "O", "O", "O", "O", "O", "O", "O", "O", "O", "O", "O", "O", "O", "O", "O", "O", "O", "O", "O", "O", "O", "O", "O", "O", "O", "O", "O", "O", "O", "O", "O", "O", "O", "O", "O", "O", "O", "O", "O", "O", "O", "O", "O", "O", "O", "O", "O", "O"],
  "fractional_positions": [[0.996, 0.577, 0.848], [0.996, 0.327, 0.348], [0.996, 0.077, 0.848], [0.996, 0.827, 0.348], [0.496, 0.533, 0.935], [0.497, 0.283, 0.435], [0.496, 0.033, 0.935], [0.498, 0.783, 0.435], [0.013, 0.439, 0.650], [0.011, 0.188, 0.149], [0.013, 0.939, 0.650], [0.011, 0.688, 0.149], [0.500, 0.460, 0.586], [0.499, 0.210, 0.087], [0.500, 0.960, 0.586], [0.499, 0.710, 0.087], [0.998, 0.480, 0.052], [0.999, 0.230, 0.552], [0.999, 0.730, 0.552], [0.998, 0.980, 0.052], [0.496, 0.647, 0.700], [0.496, 0.397, 0.200], [0.496, 0.147, 0.700], [0.496, 0.897, 0.200], [0.995, 0.270, 0.962], [0.995, 0.021, 0.462], [0.995, 0.770, 0.962], [0.995, 0.521, 0.462], [0.501, 0.349, 0.801], [0.501, 0.099, 0.301], [0.501, 0.849, 0.801], [0.501, 0.599, 0.301], [0.264, 0.610, 0.626], [0.263, 0.360, 0.126], [0.264, 0.110, 0.626], [0.263, 0.860, 0.126], [0.739, 0.251, 0.624], [0.738, 0.001, 0.124], [0.739, 0.751, 0.624], [0.738, 0.502, 0.123], [0.285, 0.535, 0.781], [0.285, 0.285, 0.281], [0.285, 0.035, 0.781], [0.285, 0.785, 0.281], [0.718, 0.184, 0.778], [0.718, 0.934, 0.278], [0.718, 0.684, 0.778], [0.718, 0.434, 0.278], [0.204, 0.417, 0.973], [0.205, 0.167, 0.473], [0.205, 0.917, 0.973], [0.205, 0.667, 0.473], [0.792, 0.112, 0.970], [0.793, 0.863, 0.470], [0.792, 0.612, 0.970], [0.793, 0.363, 0.470], [0.703, 0.477, 0.710], [0.702, 0.227, 0.210], [0.703, 0.977, 0.710], [0.702, 0.727, 0.210], [0.298, 0.310, 0.709], [0.298, 0.060, 0.209], [0.299, 0.810, 0.709], [0.298, 0.560, 0.209], [0.807, 0.564, 0.547], [0.806, 0.314, 0.047], [0.807, 0.064, 0.547], [0.806, 0.814, 0.047], [0.202, 0.383, 0.544], [0.201, 0.133, 0.044], [0.202, 0.883, 0.544], [0.200, 0.633, 0.044], [0.778, 0.400, 0.888], [0.778, 0.151, 0.388], [0.778, 0.900, 0.888], [0.778, 0.651, 0.388], [0.216, 0.216, 0.887], [0.215, 0.967, 0.387], [0.216, 0.716, 0.887], [0.216, 0.467, 0.387]],
  "e_form_kj_per_mol_atoms": -186.78,
  "dft_energy_ev_per_cell": -457.19,
  "de_polymorph_ev_per_fu": 0.00
}


2.
{
  "formula": "LiNiP4O12",
  "functional": "GGA+U",
  "state": "optimized geometry",
  "cell": [[4.188, 5.956, 0.000], [-4.188, 5.956, 0.000], [0.000, 4.871, 8.827]],
  "species": ["Li", "Li", "Ni", "Ni", "P", "P", "P", "P", "P", "P", "P", "P", "O", "O", "O", "O", "O", "O", "O", "O", "O", "O", "O", "O", "O", "O", "O", "O", "O", "O", "O", "O", "O", "O", "O", "O"],
  "fractional_positions": [[0.000, 0.500, 0.000], [0.500, 0.000, 0.500], [0.555, 0.445, 0.250], [0.445, 0.555, 0.750], [0.752, 0.231, 0.979], [0.796, 0.809, 0.195], [0.191, 0.204, 0.305], [0.769, 0.248, 0.521], [0.231, 0.752, 0.479], [0.809, 0.796, 0.695], [0.204, 0.191, 0.805], [0.248, 0.769, 0.021], [0.780, 0.312, 0.084], [0.309, 0.152, 0.655], [0.381, 0.224, 0.319], [0.966, 0.192, 0.849], [0.718, 0.999, 0.064], [0.587, 0.343, 0.905], [0.001, 0.282, 0.436], [0.152, 0.309, 0.155], [0.312, 0.780, 0.584], [0.657, 0.413, 0.595], [0.776, 0.619, 0.181], [0.192, 0.966, 0.349], [0.808, 0.034, 0.651], [0.224, 0.381, 0.819], [0.343, 0.587, 0.405], [0.688, 0.220, 0.416], [0.848, 0.691, 0.845], [0.999, 0.718, 0.564], [0.413, 0.657, 0.095], [0.282, 0.001, 0.936], [0.034, 0.808, 0.151], [0.619, 0.776, 0.681], [0.691, 0.848, 0.345], [0.220, 0.688, 0.916]],
  "e_form_kj_per_mol_atoms": -229.95,
  "spacegroup": "C2/c (15)",
  "dft_energy_ev_per_cell": -241.66,
  "de_polymorph_ev_per_fu": 0.12
}


3.
{
  "formula": "Cr3CuO8",
  "functional": "GGA+U",
  "state": "optimized geometry",
  "cell": [[2.364, -0.560, 4.405], [4.642, 1.937, -0.013], [-1.999, 5.868, 2.286]],
  "species": ["Cr", "Cr", "Cr", "Cu", "O", "O", "O", "O", "O", "O", "O", "O"],
  "fractional_positions": [[0.347, 0.347, 0.732], [0.653, 0.653, 0.268], [0.000, 0.000, 0.500], [0.000, 0.000, 0.000], [0.283, 0.792, 0.275], [0.228, 0.228, 0.941], [0.792, 0.283, 0.275], [0.767, 0.767, 0.463], [0.208, 0.717, 0.725], [0.233, 0.233, 0.537], [0.717, 0.208, 0.725], [0.772, 0.772, 0.059]],
  "e_form_kj_per_mol_atoms": -161.05,
  "spacegroup": "C2/m (12)",
  "dft_energy_ev_per_cell": -81.18
}


4.
{
  "formula": "CrO2",
  "functional": "GGA+U",
  "state": "optimized geometry",
  "cell": [[2.977, 5.169, 0.000], [-2.977, 5.169, 0.000], [0.000, 0.036, 14.246]],
  "species": ["Cr", "Cr", "Cr", "Cr", "Cr", "Cr", "Cr", "Cr", "Cr", "Cr", "Cr", "Cr", "O", "O", "O", "O", "O", "O", "O", "O", "O", "O", "O", "O", "O", "O", "O", "O", "O", "O", "O", "O", "O", "O", "O", "O"],
  "fractional_positions": [[0.658, 0.658, 0.835], [0.658, 0.185, 0.835], [0.991, 0.991, 0.504], [0.185, 0.658, 0.835], [0.992, 0.518, 0.505], [0.167, 0.167, 0.341], [0.167, 0.167, 0.716], [0.330, 0.330, 0.161], [0.518, 0.992, 0.505], [0.328, 0.843, 0.168], [0.843, 0.328, 0.168], [0.832, 0.832, 0.043], [0.350, 0.350, 0.901], [0.500, 0.500, 0.760], [0.350, 0.799, 0.901], [0.799, 0.350, 0.901], [0.677, 0.677, 0.564], [0.497, 0.002, 0.762], [0.834, 0.834, 0.430], [0.002, 0.497, 0.762], [0.833, 0.833, 0.912], [0.678, 0.147, 0.564], [0.147, 0.678, 0.564], [0.002, 0.002, 0.762], [0.025, 0.025, 0.247], [0.887, 0.307, 0.426], [0.307, 0.887, 0.426], [0.163, 0.163, 0.095], [0.167, 0.167, 0.586], [0.027, 0.445, 0.245], [0.445, 0.027, 0.245], [0.306, 0.306, 0.427], [0.152, 0.674, 0.094], [0.674, 0.152, 0.094], [0.502, 0.502, 0.218], [0.674, 0.674, 0.093]],
  "e_form_kj_per_mol_atoms": -179.88,
  "spacegroup": "Cm (8)",
  "dft_energy_ev_per_cell": -261.23
}


5.
{
  "formula": "LaCuW2O8",
  "functional": "GGA+U",
  "state": "optimized geometry",
  "cell": [[7.336, 0.000, 0.000], [-0.202, 7.551, 0.000], [-3.336, -3.298, 6.149]],
  "species": ["La", "La", "Cu", "Cu", "W", "W", "W", "W", "O", "O", "O", "O", "O", "O", "O", "O", "O", "O", "O", "O", "O", "O", "O", "O"],
  "fractional_positions": [[0.185, 0.285, 0.462], [0.815, 0.715, 0.538], [0.778, 0.324, 0.044], [0.222, 0.676, 0.956], [0.728, 0.704, 0.962], [0.355, 0.900, 0.713], [0.272, 0.296, 0.038], [0.645, 0.100, 0.287], [0.537, 0.469, 0.733], [0.463, 0.531, 0.267], [0.052, 0.309, 0.095], [0.948, 0.691, 0.905], [0.202, 0.368, 0.820], [0.798, 0.632, 0.180], [0.824, 0.354, 0.447], [0.176, 0.646, 0.553], [0.613, 0.832, 0.745], [0.387, 0.168, 0.255], [0.476, 0.826, 0.003], [0.524, 0.174, 0.997], [0.146, 0.996, 0.804], [0.854, 0.004, 0.196], [0.297, 0.995, 0.524], [0.703, 0.005, 0.476]],
  "e_form_kj_per_mol_atoms": -230.84,
  "spacegroup": "P-1 (2)",
  "dft_energy_ev_per_cell": -177.75
}


6.
{
  "formula": "Li3FeP2O8",
  "functional": "GGA+U",
  "state": "optimized geometry",
  "cell": [[-2.092, -4.033, 1.221], [-0.103, 6.481, 12.173], [-8.157, 4.114, -0.381]],
  "species": ["Li", "Li", "Li", "Li", "Li", "Li", "Li", "Li", "Li", "Li", "Li", "Li", "Fe", "Fe", "Fe", "Fe", "P", "P", "P", "P", "P", "P", "P", "P", "O", "O", "O", "O", "O", "O", "O", "O", "O", "O", "O", "O", "O", "O", "O", "O", "O", "O", "O", "O", "O", "O", "O", "O", "O", "O", "O", "O", "O", "O", "O", "O"],
  "fractional_positions": [[0.327, 0.751, 0.624], [0.827, 0.751, 0.124], [0.172, 0.251, 0.874], [0.672, 0.251, 0.374], [0.296, 0.658, 0.339], [0.796, 0.658, 0.838], [0.110, 0.158, 0.588], [0.610, 0.158, 0.088], [0.889, 0.844, 0.410], [0.389, 0.844, 0.910], [0.702, 0.344, 0.660], [0.202, 0.344, 0.160], [0.249, 0.501, 0.750], [0.000, 0.001, 0.999], [0.749, 0.501, 0.250], [0.500, 0.001, 0.499], [0.424, 0.886, 0.214], [0.924, 0.886, 0.714], [0.210, 0.386, 0.465], [0.710, 0.386, 0.965], [0.789, 0.616, 0.535], [0.289, 0.616, 0.035], [0.575, 0.116, 0.784], [0.075, 0.116, 0.284], [0.166, 0.868, 0.107], [0.666, 0.868, 0.607], [0.450, 0.368, 0.358], [0.950, 0.368, 0.858], [0.549, 0.634, 0.642], [0.049, 0.634, 0.142], [0.833, 0.134, 0.891], [0.333, 0.134, 0.391], [0.655, 0.969, 0.126], [0.154, 0.969, 0.626], [0.063, 0.469, 0.378], [0.563, 0.469, 0.878], [0.936, 0.533, 0.622], [0.436, 0.533, 0.122], [0.345, 0.032, 0.871], [0.845, 0.032, 0.371], [0.558, 0.791, 0.265], [0.058, 0.791, 0.765], [0.982, 0.291, 0.516], [0.482, 0.291, 0.016], [0.017, 0.711, 0.483], [0.517, 0.711, 0.983], [0.441, 0.211, 0.733], [0.941, 0.211, 0.233], [0.639, 0.586, 0.393], [0.139, 0.586, 0.893], [0.695, 0.086, 0.642], [0.195, 0.086, 0.142], [0.305, 0.916, 0.355], [0.805, 0.916, 0.855], [0.359, 0.416, 0.607], [0.859, 0.416, 0.107]],
  "e_form_kj_per_mol_atoms": -245.70,
  "dft_energy_ev_per_cell": -370.02,
  "de_polymorph_ev_per_fu": 0.22
}


Please write out number 6 again, unchanged.
{
  "formula": "Li3FeP2O8",
  "functional": "GGA+U",
  "state": "optimized geometry",
  "cell": [[-2.092, -4.033, 1.221], [-0.103, 6.481, 12.173], [-8.157, 4.114, -0.381]],
  "species": ["Li", "Li", "Li", "Li", "Li", "Li", "Li", "Li", "Li", "Li", "Li", "Li", "Fe", "Fe", "Fe", "Fe", "P", "P", "P", "P", "P", "P", "P", "P", "O", "O", "O", "O", "O", "O", "O", "O", "O", "O", "O", "O", "O", "O", "O", "O", "O", "O", "O", "O", "O", "O", "O", "O", "O", "O", "O", "O", "O", "O", "O", "O"],
  "fractional_positions": [[0.327, 0.751, 0.624], [0.827, 0.751, 0.124], [0.172, 0.251, 0.874], [0.672, 0.251, 0.374], [0.296, 0.658, 0.339], [0.796, 0.658, 0.838], [0.110, 0.158, 0.588], [0.610, 0.158, 0.088], [0.889, 0.844, 0.410], [0.389, 0.844, 0.910], [0.702, 0.344, 0.660], [0.202, 0.344, 0.160], [0.249, 0.501, 0.750], [0.000, 0.001, 0.999], [0.749, 0.501, 0.250], [0.500, 0.001, 0.499], [0.424, 0.886, 0.214], [0.924, 0.886, 0.714], [0.210, 0.386, 0.465], [0.710, 0.386, 0.965], [0.789, 0.616, 0.535], [0.289, 0.616, 0.035], [0.575, 0.116, 0.784], [0.075, 0.116, 0.284], [0.166, 0.868, 0.107], [0.666, 0.868, 0.607], [0.450, 0.368, 0.358], [0.950, 0.368, 0.858], [0.549, 0.634, 0.642], [0.049, 0.634, 0.142], [0.833, 0.134, 0.891], [0.333, 0.134, 0.391], [0.655, 0.969, 0.126], [0.154, 0.969, 0.626], [0.063, 0.469, 0.378], [0.563, 0.469, 0.878], [0.936, 0.533, 0.622], [0.436, 0.533, 0.122], [0.345, 0.032, 0.871], [0.845, 0.032, 0.371], [0.558, 0.791, 0.265], [0.058, 0.791, 0.765], [0.982, 0.291, 0.516], [0.482, 0.291, 0.016], [0.017, 0.711, 0.483], [0.517, 0.711, 0.983], [0.441, 0.211, 0.733], [0.941, 0.211, 0.233], [0.639, 0.586, 0.393], [0.139, 0.586, 0.893], [0.695, 0.086, 0.642], [0.195, 0.086, 0.142], [0.305, 0.916, 0.355], [0.805, 0.916, 0.855], [0.359, 0.416, 0.607], [0.859, 0.416, 0.107]],
  "e_form_kj_per_mol_atoms": -245.70,
  "dft_energy_ev_per_cell": -370.02,
  "de_polymorph_ev_per_fu": 0.22
}


Q: What is the formula in the first record?
A: Li4VTe3O12